No. 1
! SnSb (PBE-GGA, optimized geometry); values from VASP
! Volume ... 232.4 Å³/cell
! Total moment ... 0.00 μB/f.u.
! Raw total energy ... -7.94 eV per formula unit
! E (MP2020) ... -4.07 eV/atom
&SYSTEM
  ibrav = 0, nat = 8, ntyp = 2
/
ATOMIC_SPECIES
Sn 118.71 Sn.upf
Sb 121.76 Sb.upf
CELL_PARAMETERS angstrom
-2.553 4.283 4.778
-2.831 -4.788 2.837
5.654 -2.927 0.655
ATOMIC_POSITIONS angstrom
Sn 1.551 0.678 2.716
Sn 2.827 -1.464 0.327
Sn 0.000 0.000 0.000
Sn -1.277 2.142 2.389
Sb -1.416 -2.394 1.418
Sb -2.692 -0.252 3.807
Sb 1.412 -3.858 1.746
Sb 0.135 -1.716 4.135


No. 2
! SnSb (PBE-GGA, optimized geometry); values from VASP
! Volume ... 59.2 Å³/cell
! Raw total energy ... -8.05 eV per formula unit
! E (MP2020) ... -4.12 eV/atom
! SG ... P4/mmm (123)
&SYSTEM
  ibrav = 0, nat = 2, ntyp = 2
/
ATOMIC_SPECIES
Sn 118.71 Sn.upf
Sb 121.76 Sb.upf
CELL_PARAMETERS angstrom
-0.356 -0.859 -2.931
-2.290 -1.878 0.828
-4.115 4.638 -0.859
ATOMIC_POSITIONS angstrom
Sn 0.000 0.000 0.000
Sb -2.057 2.319 -0.429


No. 3
! TiSnSb (PBE-GGA, optimized geometry); values from VASP
! Volume ... 265.3 Å³/cell
! Raw total energy ... -17.03 eV per formula unit
! E (MP2020) ... -5.74 eV/atom
! SG ... Fddd (70)
&SYSTEM
  ibrav = 0, nat = 12, ntyp = 3
/
ATOMIC_SPECIES
Sb 121.76 Sb.upf
Ti 47.87 Ti.upf
Sn 118.71 Sn.upf
CELL_PARAMETERS angstrom
0.000 4.919 9.785
2.755 0.000 9.785
2.755 4.919 0.000
ATOMIC_POSITIONS angstrom
Sb 4.133 7.379 13.158
Sb 2.755 4.919 11.305
Sb 2.755 4.919 8.265
Sb 4.133 7.379 16.198
Ti 2.755 4.919 17.096
Ti 1.378 2.460 7.367
Ti 1.378 2.460 2.418
Ti 2.755 4.919 2.474
Sn 2.755 1.645 9.785
Sn 1.378 0.814 4.893
Sn 1.378 4.105 4.893
Sn 2.755 8.193 9.785